BaS2 | GGA-PBE | optimized geometry

Lattice parameters (Å, degrees): 9.338 4.838 9.120 90.00 117.82 90.00
Space group C2/c (No. 15)
One atom of each set of equivalent atoms:
Ba 0.000 0.141 0.250
S 0.161 0.356 0.020

DFT formation energy: -5.26 eV per formula unit

BaS | GGA-PBE | optimized geometry

Lattice parameters (Å, degrees): 6.457 6.457 6.457 90.00 90.00 90.00
Space group Fm-3m (No. 225)
One atom of each set of equivalent atoms:
Ba 0.000 0.000 0.000
S 0.000 0.000 0.500

DFT formation energy: -4.66 eV per formula unit

BaSb2S4 | GGA-PBE | optimized geometry

Lattice parameters (Å, degrees): 9.053 8.381 20.890 90.00 100.32 90.00
Space group P2_1/c (No. 14)
One atom of each set of equivalent atoms:
Ba 0.017 0.052 0.297
Ba 0.482 0.546 0.195
Sb 0.073 0.699 0.969
Sb 0.202 0.518 0.623
Sb 0.343 0.008 0.885
Sb 0.353 0.156 0.502
S 0.003 0.164 0.151
S 0.131 0.005 0.573
S 0.155 0.152 0.964
S 0.241 0.671 0.727
S 0.267 0.154 0.783
S 0.277 0.554 0.915
S 0.426 0.157 0.152
S 0.466 0.711 0.565

DFT formation energy: -7.85 eV per formula unit

BaVSeS2 | GGA-PBE | optimized geometry

Lattice parameters (Å, degrees): 5.674 7.028 11.936 90.00 90.00 90.00
Space group Amm2 (No. 38)
One atom of each set of equivalent atoms:
Ba 0.000 0.000 0.000
Ba 0.500 0.000 0.337
V 0.223 0.000 0.675
Se 0.500 0.249 0.083
S 0.000 0.000 0.511
S 0.000 0.245 0.755
S 0.500 0.000 0.825

DFT formation energy: -7.43 eV per formula unit

BaVSe2S | GGA-PBE | optimized geometry

Lattice parameters (Å, degrees): 5.961 6.916 12.113 90.00 90.00 90.00
Space group Amm2 (No. 38)
One atom of each set of equivalent atoms:
Ba 0.000 0.000 0.000
Ba 0.500 0.000 0.331
V 0.245 0.000 0.673
Se 0.000 0.000 0.495
Se 0.500 0.000 0.835
Se 0.500 0.248 0.084
S 0.000 0.238 0.742

DFT formation energy: -6.72 eV per formula unit

Ba2SiS4 | GGA-PBE | optimized geometry

Lattice parameters (Å, degrees): 8.998 6.826 12.410 90.00 90.00 90.00
Space group Pnma (No. 62)
One atom of each set of equivalent atoms:
Ba 0.018 0.250 0.170
Ba 0.130 0.750 0.421
Si 0.231 0.750 0.076
S 0.004 0.250 0.907
S 0.176 0.505 0.646
S 0.190 0.250 0.413

DFT formation energy: -13.28 eV per formula unit

Ba3SnS4 | GGA-PBE | optimized geometry

Lattice parameters (Å, degrees): 6.333 6.333 6.333 90.00 90.00 90.00
Space group Pm-3m (No. 221)
One atom of each set of equivalent atoms:
Ba 0.000 0.000 0.500
Sn 0.500 0.500 0.500
S 0.000 0.000 0.000
S 0.000 0.500 0.500

DFT formation energy: -15.05 eV per formula unit

Ba3Sn2S7 | GGA-PBE | optimized geometry

Lattice parameters (Å, degrees): 11.257 6.891 19.010 90.00 100.66 90.00
Space group P2_1/c (No. 14)
One atom of each set of equivalent atoms:
Ba 0.013 0.219 0.109
Ba 0.243 0.224 0.835
Ba 0.443 0.233 0.611
Sn 0.225 0.700 0.196
Sn 0.294 0.703 0.504
S 0.048 0.558 0.231
S 0.175 0.580 0.068
S 0.182 0.098 0.989
S 0.251 0.044 0.193
S 0.267 0.681 0.883
S 0.403 0.528 0.247
S 0.498 0.725 0.560

DFT formation energy: -19.01 eV per formula unit

BaSn2S3 | GGA-PBE | optimized geometry

Lattice parameters (Å, degrees): 11.985 4.274 13.156 90.00 90.61 90.00
Space group Pm (No. 6)
One atom of each set of equivalent atoms:
Ba 0.000 0.000 0.000
Ba 0.002 0.000 0.663
Ba 0.515 0.000 0.786
Ba 0.996 0.000 0.332
Sn 0.243 0.500 0.938
Sn 0.251 0.500 0.269
Sn 0.253 0.500 0.598
Sn 0.485 0.000 0.443
Sn 0.488 0.000 0.109
Sn 0.737 0.500 0.184
Sn 0.738 0.500 0.514
Sn 0.748 0.500 0.847
S 0.241 0.000 0.813
S 0.252 0.000 0.467
S 0.262 0.000 0.139
S 0.453 0.500 0.972
S 0.457 0.500 0.305
S 0.457 0.500 0.620
S 0.731 0.000 0.973
S 0.734 0.000 0.312
S 0.736 0.000 0.644
S 0.952 0.500 0.163
S 0.953 0.500 0.497
S 0.955 0.500 0.831

DFT formation energy: -7.27 eV per formula unit

BaSn3S4 | GGA-PBE | optimized geometry

Lattice parameters (Å, degrees): 4.449 4.205 11.746 90.00 90.50 90.00
Space group Pm (No. 6)
One atom of each set of equivalent atoms:
Ba 0.000 0.000 0.000
Sn 0.215 0.500 0.746
Sn 0.452 0.500 0.267
Sn 0.731 0.000 0.493
S 0.064 0.000 0.270
S 0.099 0.500 0.535
S 0.503 0.500 0.049
S 0.591 0.000 0.738

DFT formation energy: -8.60 eV per formula unit

BaSnS3 | GGA-PBE | optimized geometry

Lattice parameters (Å, degrees): 8.596 3.994 14.771 90.00 90.00 90.00
Space group Pnma (No. 62)
One atom of each set of equivalent atoms:
Ba 0.077 0.250 0.174
Sn 0.169 0.750 0.443
S 0.028 0.750 0.600
S 0.159 0.750 0.002
S 0.210 0.250 0.790

DFT formation energy: -6.98 eV per formula unit

BaSn2S3 | GGA-PBE | optimized geometry

Lattice parameters (Å, degrees): 6.245 13.665 12.084 90.00 101.17 90.00
Space group P2_1/m (No. 11)
One atom of each set of equivalent atoms:
Ba 0.123 0.250 0.475
Ba 0.201 0.078 0.872
Sn 0.157 0.750 0.901
Sn 0.225 0.552 0.448
Sn 0.383 0.750 0.208
Sn 0.453 0.114 0.228
S 0.039 0.750 0.283
S 0.087 0.079 0.290
S 0.248 0.250 0.070
S 0.261 0.607 0.051
S 0.405 0.071 0.614
S 0.426 0.750 0.622

DFT formation energy: -7.56 eV per formula unit

BaZnSnS4 | GGA-PBE | optimized geometry

Lattice parameters (Å, degrees): 21.710 22.399 12.857 90.00 90.00 90.00
Space group Fdd2 (No. 43)
One atom of each set of equivalent atoms:
Ba 0.000 0.000 0.000
Ba 0.000 0.000 0.498
Ba 0.001 0.248 0.999
Zn 0.073 0.125 0.212
Zn 0.110 0.125 0.747
Sn 0.070 0.375 0.288
Sn 0.112 0.376 0.749
S 0.026 0.376 0.631
S 0.031 0.124 0.868
S 0.047 0.126 0.387
S 0.049 0.374 0.104
S 0.124 0.206 0.626
S 0.125 0.044 0.126
S 0.125 0.045 0.623
S 0.125 0.206 0.124

DFT formation energy: -9.32 eV per formula unit